1.
{
  "formula": "Cu3H4SeO8",
  "functional": "PBE-GGA",
  "state": "relaxed",
  "formation_enthalpy_0k_ev_per_atom": -0.92,
  "spacegroup": "P1",
  "cell": [[7.7378, 0.1893, -0.0034], [0.1538, 6.7238, -0.0836], [-0.0075, -0.1699, 15.0147]],
  "species": ["Cu", "Cu", "Cu", "Cu", "Cu", "Cu", "Cu", "Cu", "Cu", "Cu", "Cu", "Cu", "H", "H", "H", "H", "H", "H", "H", "H", "H", "H", "H", "H", "H", "H", "H", "H", "Se", "Se", "Se", "Se", "O", "O", "O", "O", "O", "O", "O", "O", "O", "O", "O", "O", "O", "O", "O", "O", "O", "O", "O", "O", "O", "O", "O", "O", "O", "O", "O", "O", "O", "O", "O", "O"],
  "fractional_positions": [[0.4082, 0.2466, 0.4500], [0.9101, 0.2549, 0.0496], [0.5908, 0.7514, 0.5530], [0.0984, 0.7444, 0.9479], [0.6461, 0.9812, 0.3765], [0.1758, 0.5230, 0.1347], [0.3553, 0.4749, 0.6227], [0.7986, 0.9871, 0.8815], [0.2945, 0.9893, 0.6150], [0.8605, 0.4697, 0.8758], [0.6937, 0.4914, 0.3870], [0.1758, 0.0070, 0.1102], [0.1174, 0.2381, 0.7477], [0.6187, 0.2315, 0.7521], [0.8918, 0.6987, 0.2578], [0.3795, 0.8035, 0.2466], [0.6465, 0.7102, 0.1052], [0.1585, 0.6678, 0.3935], [0.3588, 0.1922, 0.8964], [0.8577, 0.2047, 0.6051], [0.1035, 0.8662, 0.4438], [0.5844, 0.6476, 0.9748], [0.8983, 0.3862, 0.5475], [0.4037, 0.1587, 0.0248], [0.9125, 0.1365, 0.4761], [0.3974, 0.3904, 0.9479], [0.0897, 0.6430, 0.5237], [0.6170, 0.8925, 0.0456], [0.5268, 0.2510, 0.1686], [0.0285, 0.2164, 0.3339], [0.4666, 0.7328, 0.8307], [0.9688, 0.7366, 0.6690], [0.7404, 0.2461, 0.1442], [0.2430, 0.2356, 0.3522], [0.2522, 0.7800, 0.8493], [0.7533, 0.7715, 0.6509], [0.8576, 0.2279, 0.9320], [0.3534, 0.2274, 0.5670], [0.1413, 0.7549, 0.0662], [0.6404, 0.7424, 0.4344], [0.4416, 0.0748, 0.0817], [0.9439, 0.4376, 0.3780], [0.5331, 0.5675, 0.9209], [0.0477, 0.9547, 0.6310], [0.5496, 0.9511, 0.8695], [0.0407, 0.5664, 0.5786], [0.4452, 0.4708, 0.1294], [0.9598, 0.0499, 0.4208], [0.5915, 0.2499, 0.3704], [0.0939, 0.2676, 0.1281], [0.4037, 0.7396, 0.6299], [0.9055, 0.7337, 0.8731], [0.8303, 0.2639, 0.5472], [0.3295, 0.2681, 0.9515], [0.1756, 0.7398, 0.4505], [0.6774, 0.7595, 0.0466], [0.8349, 0.3646, 0.7569], [0.2429, 0.1977, 0.7489], [0.2562, 0.8506, 0.2430], [0.7652, 0.6755, 0.2531], [0.1624, 0.6706, 0.2492], [0.6827, 0.8697, 0.2583], [0.7425, 0.1845, 0.7507], [0.3285, 0.3807, 0.7416]]
}

***

2.
{
  "formula": "Cs2Na2SrB18O30",
  "functional": "PBE-GGA",
  "state": "relaxed",
  "formation_enthalpy_0k_ev_per_atom": -2.87,
  "spacegroup": "P2_1/c",
  "cell": [[8.6550, 0.0000, 0.0000], [0.0000, 8.5996, 0.0000], [0.0000, 0.8547, 17.4409]],
  "species": ["Cs", "Cs", "Cs", "Cs", "Na", "Na", "Na", "Na", "Sr", "Sr", "B", "B", "B", "B", "B", "B", "B", "B", "B", "B", "B", "B", "B", "B", "B", "B", "B", "B", "B", "B", "B", "B", "B", "B", "B", "B", "B", "B", "B", "B", "B", "B", "B", "B", "B", "B", "O", "O", "O", "O", "O", "O", "O", "O", "O", "O", "O", "O", "O", "O", "O", "O", "O", "O", "O", "O", "O", "O", "O", "O", "O", "O", "O", "O", "O", "O", "O", "O", "O", "O", "O", "O", "O", "O", "O", "O", "O", "O", "O", "O", "O", "O", "O", "O", "O", "O", "O", "O", "O", "O", "O", "O", "O", "O", "O", "O"],
  "fractional_positions": [[0.4606, 0.5014, 0.8046], [0.9606, 0.4986, 0.6954], [0.5394, 0.4986, 0.1954], [0.0394, 0.5014, 0.3046], [0.2611, 0.2257, 0.6185], [0.7611, 0.7743, 0.8815], [0.7389, 0.7743, 0.3815], [0.2389, 0.2257, 0.1185], [0.0000, 0.0000, 0.0000], [0.5000, 0.0000, 0.5000], [0.6510, 0.1715, 0.9177], [0.1510, 0.8285, 0.5823], [0.3490, 0.8285, 0.0823], [0.8490, 0.1715, 0.4177], [0.6210, 0.1777, 0.0579], [0.1210, 0.8223, 0.4421], [0.3790, 0.8223, 0.9421], [0.8790, 0.1777, 0.5579], [0.3966, 0.2227, 0.9745], [0.8966, 0.7773, 0.5255], [0.6034, 0.7773, 0.0255], [0.1034, 0.2227, 0.4745], [0.1421, 0.3303, 0.9146], [0.6421, 0.6697, 0.5854], [0.8579, 0.6697, 0.0854], [0.3579, 0.3303, 0.4146], [0.8608, 0.3756, 0.9076], [0.3608, 0.6244, 0.5924], [0.1392, 0.6244, 0.0924], [0.6392, 0.3756, 0.4076], [0.0398, 0.5962, 0.8953], [0.5398, 0.4038, 0.6047], [0.9602, 0.4038, 0.1047], [0.4602, 0.5962, 0.3953], [0.1902, 0.9537, 0.7110], [0.6902, 0.0463, 0.7890], [0.8098, 0.0463, 0.2890], [0.3098, 0.9537, 0.2110], [0.1658, 0.8510, 0.8443], [0.6658, 0.1490, 0.6557], [0.8342, 0.1490, 0.1557], [0.3342, 0.8510, 0.3443], [0.1730, 0.1344, 0.8146], [0.6730, 0.8656, 0.6854], [0.8270, 0.8656, 0.1854], [0.3270, 0.1344, 0.3146], [0.7140, 0.3283, 0.8981], [0.2140, 0.6717, 0.6019], [0.2860, 0.6717, 0.1019], [0.7860, 0.3283, 0.3981], [0.7072, 0.0523, 0.8668], [0.2072, 0.9477, 0.6332], [0.2928, 0.9477, 0.1332], [0.7928, 0.0523, 0.3668], [0.7018, 0.1216, 0.9970], [0.2018, 0.8784, 0.5030], [0.2982, 0.8784, 0.0030], [0.7982, 0.1216, 0.4970], [0.4807, 0.1872, 0.9121], [0.9807, 0.8128, 0.5879], [0.5193, 0.8128, 0.0879], [0.0193, 0.1872, 0.4121], [0.6778, 0.1900, 0.1296], [0.1778, 0.8100, 0.3704], [0.3222, 0.8100, 0.8704], [0.8222, 0.1900, 0.6296], [0.4680, 0.2306, 0.0466], [0.9680, 0.7694, 0.4534], [0.5320, 0.7694, 0.9534], [0.0320, 0.2306, 0.5466], [0.2402, 0.2535, 0.9745], [0.7402, 0.7465, 0.5255], [0.7598, 0.7465, 0.0255], [0.2598, 0.2535, 0.4745], [0.9807, 0.2830, 0.9343], [0.4807, 0.7170, 0.5657], [0.0193, 0.7170, 0.0657], [0.5193, 0.2830, 0.4343], [0.1615, 0.5018, 0.9138], [0.6615, 0.4982, 0.5862], [0.8385, 0.4982, 0.0862], [0.3385, 0.5018, 0.4138], [0.1775, 0.2849, 0.8355], [0.6775, 0.7151, 0.6645], [0.8225, 0.7151, 0.1645], [0.3225, 0.2849, 0.3355], [0.8915, 0.5321, 0.8849], [0.3915, 0.4679, 0.6151], [0.1085, 0.4679, 0.1151], [0.6085, 0.5321, 0.3849], [0.0437, 0.7549, 0.8831], [0.5437, 0.2451, 0.6169], [0.9563, 0.2451, 0.1169], [0.4563, 0.7549, 0.3831], [0.2096, 0.1053, 0.7384], [0.7096, 0.8947, 0.7616], [0.7904, 0.8947, 0.2616], [0.2904, 0.1053, 0.2384], [0.1595, 0.8308, 0.7607], [0.6595, 0.1692, 0.7393], [0.8405, 0.1692, 0.2393], [0.3405, 0.8308, 0.2607], [0.1283, 0.0133, 0.8637], [0.6283, 0.9867, 0.6363], [0.8717, 0.9867, 0.1363], [0.3717, 0.0133, 0.3637]]
}

***

3.
{
  "formula": "Rb2TlBiF6",
  "functional": "PBE-GGA",
  "state": "relaxed",
  "formation_enthalpy_0k_ev_per_atom": -2.68,
  "spacegroup": "Fm-3m",
  "cell": [[0.0000, 4.9317, 4.9317], [4.9317, 0.0000, 4.9317], [4.9317, 4.9317, 0.0000]],
  "species": ["Rb", "Rb", "Tl", "Bi", "F", "F", "F", "F", "F", "F"],
  "fractional_positions": [[0.7500, 0.7500, 0.7500], [0.2500, 0.2500, 0.2500], [0.5000, 0.5000, 0.5000], [0.0000, 0.0000, 0.0000], [0.7696, 0.2304, 0.2304], [0.2304, 0.2304, 0.7696], [0.2304, 0.7696, 0.7696], [0.2304, 0.7696, 0.2304], [0.7696, 0.2304, 0.7696], [0.7696, 0.7696, 0.2304]]
}

***

4.
{
  "formula": "K15Os7N19",
  "functional": "PBE-GGA",
  "state": "relaxed",
  "formation_enthalpy_0k_ev_per_atom": -0.14,
  "spacegroup": "P-1",
  "cell": [[6.8787, 0.0000, 0.0000], [-2.0185, -12.2010, 0.0000], [-1.5419, 0.0255, -19.0167]],
  "species": ["K", "K", "K", "K", "K", "K", "K", "K", "K", "K", "K", "K", "K", "K", "K", "K", "K", "K", "K", "K", "K", "K", "K", "K", "K", "K", "K", "K", "K", "K", "Os", "Os", "Os", "Os", "Os", "Os", "Os", "Os", "Os", "Os", "Os", "Os", "Os", "Os", "N", "N", "N", "N", "N", "N", "N", "N", "N", "N", "N", "N", "N", "N", "N", "N", "N", "N", "N", "N", "N", "N", "N", "N", "N", "N", "N", "N", "N", "N", "N", "N", "N", "N", "N", "N", "N", "N"],
  "fractional_positions": [[0.5077, 0.6247, 0.4365], [0.4923, 0.3753, 0.5635], [0.6345, 0.1272, 0.6529], [0.3655, 0.8728, 0.3471], [0.7157, 0.0274, 0.2019], [0.2843, 0.9726, 0.7981], [0.9308, 0.0398, 0.3928], [0.0692, 0.9602, 0.6072], [0.7665, 0.7613, 0.2834], [0.2335, 0.2387, 0.7166], [0.8621, 0.1750, 0.8339], [0.1379, 0.8250, 0.1661], [0.8615, 0.9030, 0.8948], [0.1385, 0.0970, 0.1052], [0.7139, 0.0788, 0.0110], [0.2861, 0.9212, 0.9890], [0.5904, 0.8877, 0.5381], [0.4096, 0.1123, 0.4619], [0.5970, 0.4657, 0.2779], [0.4030, 0.5343, 0.7221], [0.9849, 0.3395, 0.0200], [0.0151, 0.6605, 0.9800], [0.9188, 0.6575, 0.7821], [0.0812, 0.3425, 0.2179], [0.7848, 0.2744, 0.3725], [0.2152, 0.7256, 0.6275], [0.5964, 0.3724, 0.8432], [0.4036, 0.6276, 0.1568], [0.0000, 0.5000, 0.5000], [0.5000, 0.5000, 0.0000], [0.5862, 0.2767, 0.1274], [0.4138, 0.7233, 0.8726], [0.8739, 0.4029, 0.6875], [0.1261, 0.5971, 0.3125], [0.7219, 0.6463, 0.6031], [0.2781, 0.3537, 0.3969], [0.9747, 0.7787, 0.4510], [0.0253, 0.2213, 0.5490], [0.8778, 0.5509, 0.1355], [0.1222, 0.4491, 0.8645], [0.6747, 0.8644, 0.7244], [0.3253, 0.1356, 0.2756], [0.6844, 0.7925, 0.0521], [0.3156, 0.2075, 0.9479], [0.8001, 0.2123, 0.1254], [0.1999, 0.7877, 0.8746], [0.9642, 0.3126, 0.6200], [0.0358, 0.6874, 0.3800], [0.5429, 0.0915, 0.3206], [0.4571, 0.9085, 0.6794], [0.5999, 0.7726, 0.7994], [0.4001, 0.2274, 0.2006], [0.6783, 0.4255, 0.1474], [0.3217, 0.5745, 0.8526], [0.5319, 0.3986, 0.4203], [0.4681, 0.6014, 0.5797], [0.8198, 0.1118, 0.5296], [0.1802, 0.8882, 0.4704], [0.8946, 0.7055, 0.5307], [0.1054, 0.2945, 0.4693], [0.9211, 0.8843, 0.0491], [0.0789, 0.1157, 0.9509], [0.7570, 0.8341, 0.4154], [0.2430, 0.1659, 0.5846], [0.7888, 0.7849, 0.6606], [0.2112, 0.2151, 0.3394], [0.9174, 0.4744, 0.9083], [0.0826, 0.5256, 0.0917], [0.5790, 0.7649, 0.9588], [0.4210, 0.2351, 0.0412], [0.7394, 0.6626, 0.0928], [0.2606, 0.3374, 0.9072], [0.8514, 0.9836, 0.7551], [0.1486, 0.0164, 0.2449], [0.9539, 0.6108, 0.2300], [0.0461, 0.3892, 0.7700], [0.8635, 0.5414, 0.6493], [0.1365, 0.4586, 0.3507], [0.6232, 0.3520, 0.7080], [0.3768, 0.6480, 0.2920], [0.5164, 0.8528, 0.1024], [0.4836, 0.1472, 0.8976]]
}

***

5.
{
  "formula": "As4Pd5Pb",
  "functional": "PBE-GGA",
  "state": "relaxed",
  "de_polymorph_ev_per_atom": 0.0028,
  "formation_enthalpy_0k_ev_per_atom": -0.29,
  "spacegroup": "Cc",
  "cell": [[4.4429, -1.9542, 4.8649], [4.9457, 4.2692, 2.1308], [-3.3386, 3.9050, 8.2746]],
  "species": ["As", "As", "As", "As", "As", "As", "As", "As", "Pd", "Pd", "Pd", "Pd", "Pd", "Pd", "Pd", "Pd", "Pd", "Pd", "Pb", "Pb"],
  "fractional_positions": [[0.2127, 0.5668, 0.9400], [0.3843, 0.0341, 0.8599], [0.8582, 0.1627, 0.7574], [0.4442, 0.7392, 0.5472], [0.5668, 0.2127, 0.4400], [0.0341, 0.3843, 0.3599], [0.1627, 0.8582, 0.2574], [0.7392, 0.4442, 0.0472], [0.0456, 0.9666, 0.0014], [0.7998, 0.8026, 0.8973], [0.5633, 0.6180, 0.8043], [0.2460, 0.1305, 0.6179], [0.4755, 0.3451, 0.6782], [0.8026, 0.7998, 0.3973], [0.9666, 0.0456, 0.5014], [0.3451, 0.4755, 0.1782], [0.6180, 0.5633, 0.3043], [0.1305, 0.2460, 0.1179], [0.9883, 0.6111, 0.6515], [0.6111, 0.9883, 0.1515]]
}